Computed, not measured: an optimized crystal structure of GdH18C3S3O18F9 at the GGA-PBE level of DFT.

Lattice parameters (Å, degrees): 13.894 13.894 7.539 90.00 90.00 120.00
Positions (direct):
Gd: 0.333 0.667 0.250
Gd: 0.667 0.333 0.750
H: 0.100 0.648 0.145
H: 0.100 0.648 0.355
H: 0.129 0.496 0.041
H: 0.129 0.496 0.459
H: 0.232 0.513 0.570
H: 0.232 0.513 0.930
H: 0.280 0.768 0.570
H: 0.280 0.768 0.930
H: 0.352 0.452 0.145
H: 0.352 0.452 0.355
H: 0.367 0.871 0.041
H: 0.367 0.871 0.459
H: 0.452 0.100 0.645
H: 0.452 0.100 0.855
H: 0.487 0.720 0.570
H: 0.487 0.720 0.930
H: 0.496 0.367 0.541
H: 0.496 0.367 0.959
H: 0.504 0.633 0.041
H: 0.504 0.633 0.459
H: 0.513 0.280 0.070
H: 0.513 0.280 0.430
H: 0.548 0.900 0.145
H: 0.548 0.900 0.355
H: 0.633 0.129 0.541
H: 0.633 0.129 0.959
H: 0.648 0.548 0.645
H: 0.648 0.548 0.855
H: 0.720 0.232 0.070
H: 0.720 0.232 0.430
H: 0.768 0.487 0.070
H: 0.768 0.487 0.430
H: 0.871 0.504 0.541
H: 0.871 0.504 0.959
H: 0.900 0.352 0.645
H: 0.900 0.352 0.855
C: 0.019 0.787 0.750
C: 0.213 0.232 0.750
C: 0.232 0.019 0.250
C: 0.768 0.981 0.750
C: 0.787 0.768 0.250
C: 0.981 0.213 0.250
S: 0.065 0.681 0.750
S: 0.319 0.385 0.750
S: 0.385 0.065 0.250
S: 0.615 0.935 0.750
S: 0.681 0.615 0.250
S: 0.935 0.319 0.250
O: 0.018 0.618 0.586
O: 0.018 0.618 0.914
O: 0.145 0.657 0.250
O: 0.187 0.747 0.750
O: 0.208 0.549 0.017
O: 0.208 0.549 0.483
O: 0.253 0.440 0.750
O: 0.342 0.792 0.017
O: 0.342 0.792 0.483
O: 0.343 0.489 0.250
O: 0.382 0.401 0.586
O: 0.382 0.401 0.914
O: 0.401 0.018 0.086
O: 0.401 0.018 0.414
O: 0.440 0.187 0.250
O: 0.451 0.658 0.017
O: 0.451 0.658 0.483
O: 0.489 0.145 0.750
O: 0.511 0.855 0.250
O: 0.549 0.342 0.517
O: 0.549 0.342 0.983
O: 0.560 0.813 0.750
O: 0.599 0.982 0.586
O: 0.599 0.982 0.914
O: 0.618 0.599 0.086
O: 0.618 0.599 0.414
O: 0.657 0.511 0.750
O: 0.658 0.208 0.517
O: 0.658 0.208 0.983
O: 0.747 0.560 0.250
O: 0.792 0.451 0.517
O: 0.792 0.451 0.983
O: 0.813 0.253 0.250
O: 0.855 0.343 0.750
O: 0.982 0.382 0.086
O: 0.982 0.382 0.414
F: 0.057 0.852 0.604
F: 0.057 0.852 0.896
F: 0.093 0.265 0.250
F: 0.148 0.206 0.604
F: 0.148 0.206 0.896
F: 0.172 0.907 0.250
F: 0.206 0.057 0.104
F: 0.206 0.057 0.396
F: 0.265 0.172 0.750
F: 0.735 0.828 0.250
F: 0.794 0.943 0.604
F: 0.794 0.943 0.896
F: 0.828 0.093 0.750
F: 0.852 0.794 0.104
F: 0.852 0.794 0.396
F: 0.907 0.735 0.750
F: 0.943 0.148 0.104
F: 0.943 0.148 0.396

Output
M_tot = 0.135 μB/atom



Computed, not measured: an optimized crystal structure of K4Gd2C3O9F4 at the GGA-PBE level of DFT.

Lattice parameters (Å, degrees): 7.004 9.156 10.658 90.00 100.88 90.00
Positions (direct):
K: 0.001 0.000 0.250
K: 0.120 0.312 0.062
K: 0.136 0.817 0.564
K: 0.498 0.379 0.748
K: 0.502 0.879 0.252
K: 0.864 0.317 0.436
K: 0.880 0.812 0.938
K: 0.999 0.500 0.750
Gd: 0.356 0.004 0.892
Gd: 0.356 0.494 0.395
Gd: 0.644 0.504 0.108
Gd: 0.644 0.994 0.605
C: 0.011 0.643 0.243
C: 0.352 0.676 0.938
C: 0.353 0.178 0.429
C: 0.647 0.678 0.571
C: 0.648 0.176 0.062
C: 0.989 0.143 0.757
O: 0.002 0.000 0.750
O: 0.127 0.214 0.828
O: 0.163 0.707 0.309
O: 0.201 0.246 0.370
O: 0.227 0.751 0.858
O: 0.347 0.534 0.941
O: 0.360 0.036 0.437
O: 0.487 0.743 0.018
O: 0.496 0.754 0.518
O: 0.504 0.254 0.482
O: 0.513 0.243 0.982
O: 0.640 0.536 0.563
O: 0.653 0.034 0.059
O: 0.773 0.251 0.142
O: 0.799 0.746 0.630
O: 0.837 0.207 0.691
O: 0.873 0.714 0.172
O: 0.998 0.500 0.250
F: 0.192 0.500 0.556
F: 0.197 0.003 0.056
F: 0.409 0.108 0.702
F: 0.428 0.382 0.212
F: 0.572 0.882 0.788
F: 0.591 0.608 0.298
F: 0.803 0.503 0.944
F: 0.808 0.000 0.444

Output
M_tot = 0.636 μB/atom
Energy above the lowest structure with this stoichiometry = 0 meV/atom



Computed, not measured: an optimized crystal structure of K4Gd2C3O9F4 at the GGA-PBE level of DFT.

Lattice parameters (Å, degrees): 7.009 7.009 7.061 98.60 98.60 81.13
Positions (direct):
K: 0.000 0.000 0.000
K: 0.127 0.498 0.120
K: 0.502 0.873 0.880
K: 0.864 0.136 0.500
Gd: 0.359 0.353 0.644
Gd: 0.647 0.641 0.356
C: 0.006 0.651 0.637
C: 0.349 0.994 0.363
C: 0.643 0.357 0.000
O: 0.157 0.646 0.770
O: 0.205 0.132 0.364
O: 0.354 0.843 0.230
O: 0.496 0.003 0.500
O: 0.501 0.499 0.000
O: 0.644 0.219 0.855
O: 0.781 0.356 0.145
O: 0.868 0.795 0.636
O: 0.997 0.504 0.500
F: 0.194 0.194 0.806
F: 0.436 0.409 0.350
F: 0.591 0.564 0.650
F: 0.806 0.806 0.194

Output
M_tot = 0.636 μB/atom
Energy above the lowest structure with this stoichiometry = 3 meV/atom



Computed, not measured: an optimized crystal structure of GeC24F20 at the GGA-PBE level of DFT.

Lattice parameters (Å, degrees): 12.852 12.852 12.852 95.69 95.69 143.29
Positions (direct):
Ge: 0.375 0.125 0.250
Ge: 0.625 0.875 0.750
C: 0.000 0.268 0.422
C: 0.000 0.732 0.578
C: 0.043 0.569 0.178
C: 0.047 0.945 0.311
C: 0.065 0.247 0.362
C: 0.069 0.391 0.525
C: 0.078 0.500 0.232
C: 0.109 0.135 0.678
C: 0.123 0.088 0.169
C: 0.134 0.736 0.189
C: 0.160 0.046 0.240
C: 0.203 0.565 0.318
C: 0.232 0.154 0.732
C: 0.236 0.547 0.602
C: 0.253 0.115 0.818
C: 0.306 0.920 0.260
C: 0.346 0.578 0.078
C: 0.365 0.543 0.975
C: 0.385 0.703 0.138
C: 0.412 0.081 0.035
C: 0.419 0.955 0.331
C: 0.420 0.660 0.614
C: 0.445 0.634 0.898
C: 0.454 0.194 0.114
C: 0.455 0.623 0.535
C: 0.545 0.377 0.465
C: 0.546 0.806 0.886
C: 0.555 0.366 0.102
C: 0.580 0.340 0.386
C: 0.581 0.045 0.669
C: 0.588 0.919 0.965
C: 0.615 0.297 0.862
C: 0.635 0.457 0.025
C: 0.654 0.422 0.922
C: 0.694 0.080 0.740
C: 0.747 0.885 0.182
C: 0.764 0.453 0.398
C: 0.768 0.846 0.268
C: 0.797 0.435 0.682
C: 0.840 0.954 0.760
C: 0.866 0.264 0.811
C: 0.877 0.912 0.831
C: 0.891 0.865 0.322
C: 0.922 0.500 0.768
C: 0.931 0.609 0.475
C: 0.935 0.753 0.638
C: 0.953 0.055 0.689
C: 0.957 0.431 0.822
F: 0.043 0.730 0.115
F: 0.056 0.682 0.819
F: 0.070 0.665 0.453
F: 0.115 0.928 0.385
F: 0.117 0.570 0.906
F: 0.165 0.212 0.594
F: 0.166 0.052 0.893
F: 0.182 0.863 0.626
F: 0.200 0.173 0.095
F: 0.227 0.334 0.386
F: 0.230 0.615 0.687
F: 0.263 0.444 0.126
F: 0.288 0.383 0.953
F: 0.327 0.922 0.027
F: 0.341 0.727 0.393
F: 0.363 0.237 0.681
F: 0.396 0.300 0.473
F: 0.422 0.896 0.595
F: 0.428 0.543 0.813
F: 0.448 0.841 0.114
F: 0.552 0.159 0.886
F: 0.572 0.457 0.187
F: 0.578 0.104 0.405
F: 0.604 0.700 0.527
F: 0.637 0.763 0.319
F: 0.659 0.273 0.607
F: 0.673 0.078 0.973
F: 0.712 0.617 0.047
F: 0.737 0.556 0.874
F: 0.770 0.385 0.313
F: 0.773 0.666 0.614
F: 0.800 0.827 0.905
F: 0.818 0.137 0.374
F: 0.834 0.948 0.107
F: 0.835 0.788 0.406
F: 0.883 0.430 0.094
F: 0.885 0.072 0.615
F: 0.930 0.335 0.547
F: 0.944 0.318 0.181
F: 0.957 0.270 0.885

Output
M_tot = 0.178 μB/atom



Computed, not measured: an optimized crystal structure of GeC2N6F6 at the GGA-PBE level of DFT.

Lattice parameters (Å, degrees): 6.745 6.745 6.095 110.59 110.59 61.48
Positions (direct):
Ge: 0.000 0.000 0.000
C: 0.276 0.276 0.735
C: 0.727 0.727 0.272
N: 0.048 0.388 0.727
N: 0.388 0.048 0.727
N: 0.395 0.395 0.747
N: 0.612 0.612 0.272
N: 0.615 0.955 0.273
N: 0.955 0.615 0.273
F: 0.169 0.792 0.196
F: 0.171 0.171 0.183
F: 0.208 0.830 0.804
F: 0.792 0.169 0.196
F: 0.829 0.829 0.815
F: 0.830 0.208 0.804

Output
M_tot = 0.533 μB/atom



Computed, not measured: an optimized crystal structure of Ge2C2S3F6 at the GGA-PBE level of DFT.

Lattice parameters (Å, degrees): 11.399 11.399 11.399 60.00 60.00 60.00
Positions (direct):
Ge: 0.100 0.800 0.800
Ge: 0.200 0.200 0.200
Ge: 0.200 0.200 0.900
Ge: 0.200 0.900 0.200
Ge: 0.800 0.100 0.800
Ge: 0.800 0.800 0.100
Ge: 0.800 0.800 0.800
Ge: 0.900 0.200 0.200
C: 0.273 0.273 0.273
C: 0.273 0.273 0.680
C: 0.273 0.680 0.273
C: 0.320 0.727 0.727
C: 0.680 0.273 0.273
C: 0.727 0.320 0.727
C: 0.727 0.727 0.320
C: 0.727 0.727 0.727
S: 0.040 0.040 0.710
S: 0.040 0.710 0.040
S: 0.040 0.710 0.710
S: 0.290 0.290 0.960
S: 0.290 0.960 0.290
S: 0.290 0.960 0.960
S: 0.710 0.040 0.040
S: 0.710 0.040 0.710
S: 0.710 0.710 0.040
S: 0.960 0.290 0.290
S: 0.960 0.290 0.960
S: 0.960 0.960 0.290
F: 0.162 0.355 0.355
F: 0.162 0.355 0.627
F: 0.162 0.627 0.355
F: 0.355 0.162 0.355
F: 0.355 0.162 0.627
F: 0.355 0.355 0.162
F: 0.355 0.355 0.627
F: 0.355 0.627 0.162
F: 0.355 0.627 0.355
F: 0.373 0.645 0.645
F: 0.373 0.645 0.838
F: 0.373 0.838 0.645
F: 0.627 0.162 0.355
F: 0.627 0.355 0.162
F: 0.627 0.355 0.355
F: 0.645 0.373 0.645
F: 0.645 0.373 0.838
F: 0.645 0.645 0.373
F: 0.645 0.645 0.838
F: 0.645 0.838 0.373
F: 0.645 0.838 0.645
F: 0.838 0.373 0.645
F: 0.838 0.645 0.373
F: 0.838 0.645 0.645

Output
M_tot = 0.000 μB/atom



Number 1: energy relative to the elements -1.66 eV/atom, total energy -582.48 eV/cell. Number 2: energy relative to the elements -2.83 eV/atom, total energy -333.55 eV/cell. Number 3: energy relative to the elements -2.83 eV/atom, total energy -166.71 eV/cell. Number 4: energy relative to the elements -0.33 eV/atom, total energy -539.89 eV/cell. Number 5: energy relative to the elements 0.19 eV/atom, total energy -78.92 eV/cell. Number 6: energy relative to the elements -1.39 eV/atom, total energy -261.50 eV/cell.